# PBE+U La7SmMnFe7O20, relaxed
data_La7SmMnFe7O20
_chemical_formula_sum 'La28 Sm4 Mn4 Fe28 O80'
_cell_length_a 11.0345
_cell_length_b 11.8287
_cell_length_c 17.7999
_cell_angle_alpha 109.40
_cell_angle_beta 107.96
_cell_angle_gamma 90.07
_symmetry_space_group_name_H-M 'P 1'
_symmetry_Int_Tables_number 1
loop_
_symmetry_equiv_pos_as_xyz
'x,y,z'
loop_
_atom_site_label
_atom_site_type_symbol
_atom_site_fract_x
_atom_site_fract_y
_atom_site_fract_z
_atom_site_occupancy
La1 La 0.0000 0.0000 0.0000 1
La2 La 0.0003 0.0009 0.5006 1
La3 La 0.0021 0.5010 0.0012 1
La4 La 0.1120 0.0924 0.2219 1
La5 La 0.1116 0.5940 0.2232 1
La6 La 0.1126 0.5943 0.7224 1
La7 La 0.2500 0.2317 0.9982 1
La8 La 0.2503 0.7321 0.0001 1
La9 La 0.2501 0.7316 0.5001 1
La10 La 0.2547 0.2324 0.5005 1
La11 La 0.3587 0.8630 0.7211 1
La12 La 0.3611 0.3611 0.2226 1
La13 La 0.3608 0.3617 0.7221 1
La14 La 0.3622 0.8626 0.2245 1
La15 La 0.4998 0.0014 0.0019 1
La16 La 0.5003 0.5026 0.0009 1
La17 La 0.5033 0.4975 0.4997 1
La18 La 0.6116 0.5939 0.2235 1
La19 La 0.6123 0.5936 0.7224 1
La20 La 0.6133 0.0901 0.7187 1
La21 La 0.6131 0.0945 0.2253 1
La22 La 0.7515 0.7325 0.5001 1
La23 La 0.7519 0.2315 0.0021 1
La24 La 0.7524 0.7335 0.0015 1
La25 La 0.8614 0.3634 0.2236 1
La26 La 0.8615 0.8623 0.2245 1
La27 La 0.8623 0.3596 0.7204 1
La28 La 0.8646 0.8616 0.7222 1
Sm1 Sm 0.0026 0.5049 0.5033 1
Sm2 Sm 0.1131 0.0908 0.7200 1
Sm3 Sm 0.5035 0.0028 0.5015 1
Sm4 Sm 0.7506 0.2306 0.5010 1
Mn1 Mn 0.4429 0.1991 0.8604 1
Mn2 Mn 0.4451 0.7009 0.8610 1
Mn3 Mn 0.6966 0.3924 0.8610 1
Mn4 Mn 0.9451 0.2038 0.3645 1
Fe1 Fe 0.0477 0.2961 0.6095 1
Fe2 Fe 0.0503 0.2969 0.1116 1
Fe3 Fe 0.0502 0.7972 0.6109 1
Fe4 Fe 0.0508 0.7974 0.1120 1
Fe5 Fe 0.1910 0.3972 0.8593 1
Fe6 Fe 0.1917 0.3991 0.3624 1
Fe7 Fe 0.1922 0.9011 0.8609 1
Fe8 Fe 0.1969 0.8998 0.3633 1
Fe9 Fe 0.2994 0.0471 0.6111 1
Fe10 Fe 0.2992 0.5455 0.6104 1
Fe11 Fe 0.3003 0.0472 0.1120 1
Fe12 Fe 0.3006 0.5473 0.1121 1
Fe13 Fe 0.4443 0.6970 0.3634 1
Fe14 Fe 0.4457 0.1944 0.3632 1
Fe15 Fe 0.5500 0.2964 0.6114 1
Fe16 Fe 0.5496 0.2966 0.1121 1
Fe17 Fe 0.5496 0.7960 0.6099 1
Fe18 Fe 0.5496 0.7974 0.1122 1
Fe19 Fe 0.6916 0.9017 0.3635 1
Fe20 Fe 0.6930 0.8999 0.8606 1
Fe21 Fe 0.6967 0.3991 0.3636 1
Fe22 Fe 0.7997 0.0466 0.1126 1
Fe23 Fe 0.8001 0.0474 0.6103 1
Fe24 Fe 0.7997 0.5446 0.6096 1
Fe25 Fe 0.7996 0.5471 0.1114 1
Fe26 Fe 0.9429 0.6939 0.8604 1
Fe27 Fe 0.9434 0.6947 0.3623 1
Fe28 Fe 0.9455 0.1935 0.8599 1
O1 O 0.1009 0.4134 0.7499 1
O2 O 0.1031 0.4115 0.2518 1
O3 O 0.1031 0.9135 0.7505 1
O4 O 0.1053 0.9108 0.2519 1
O5 O 0.1373 0.2212 0.8552 1
O6 O 0.1369 0.2247 0.3617 1
O7 O 0.1368 0.7281 0.3614 1
O8 O 0.1367 0.7289 0.8613 1
O9 O 0.1626 0.4082 0.5851 1
O10 O 0.1675 0.9091 0.0904 1
O11 O 0.1683 0.4080 0.0900 1
O12 O 0.1696 0.9088 0.5904 1
O13 O 0.1890 0.1859 0.1333 1
O14 O 0.1887 0.1871 0.6356 1
O15 O 0.1887 0.6860 0.6314 1
O16 O 0.1895 0.6852 0.1327 1
O17 O 0.2036 0.5214 0.4710 1
O18 O 0.2116 0.0238 0.4719 1
O19 O 0.2127 0.0223 0.9721 1
O20 O 0.2129 0.5192 0.9704 1
O21 O 0.3405 0.0702 0.7502 1
O22 O 0.3488 0.5692 0.7498 1
O23 O 0.3544 0.0726 0.2521 1
O24 O 0.3538 0.5736 0.2527 1
O25 O 0.3851 0.3644 0.3613 1
O26 O 0.3854 0.8697 0.8608 1
O27 O 0.3868 0.3695 0.8615 1
O28 O 0.3927 0.8723 0.3672 1
O29 O 0.4170 0.4118 0.5882 1
O30 O 0.4175 0.9138 0.0905 1
O31 O 0.4185 0.4143 0.0913 1
O32 O 0.4194 0.9139 0.5864 1
O33 O 0.4395 0.1762 0.6313 1
O34 O 0.4402 0.1800 0.1351 1
O35 O 0.4397 0.6774 0.6328 1
O36 O 0.4397 0.6802 0.1348 1
O37 O 0.4593 0.1808 0.9724 1
O38 O 0.4592 0.6815 0.9723 1
O39 O 0.4619 0.6784 0.4713 1
O40 O 0.4628 0.1782 0.4717 1
O41 O 0.5995 0.4126 0.7501 1
O42 O 0.6016 0.9113 0.7502 1
O43 O 0.6025 0.9126 0.2524 1
O44 O 0.6069 0.4103 0.2530 1
O45 O 0.6362 0.2219 0.8605 1
O46 O 0.6368 0.7278 0.3619 1
O47 O 0.6375 0.7264 0.8612 1
O48 O 0.6422 0.2281 0.3673 1
O49 O 0.6656 0.9099 0.5870 1
O50 O 0.6674 0.9076 0.0896 1
O51 O 0.6686 0.4026 0.5856 1
O52 O 0.6690 0.4076 0.0906 1
O53 O 0.6894 0.1860 0.1335 1
O54 O 0.6885 0.1857 0.6302 1
O55 O 0.6897 0.6873 0.1350 1
O56 O 0.6909 0.6868 0.6328 1
O57 O 0.7049 0.0243 0.4723 1
O58 O 0.7106 0.5243 0.9719 1
O59 O 0.7125 0.5244 0.4718 1
O60 O 0.7137 0.0208 0.9716 1
O61 O 0.8498 0.0713 0.2527 1
O62 O 0.8514 0.0711 0.7504 1
O63 O 0.8522 0.5715 0.7500 1
O64 O 0.8543 0.5727 0.2515 1
O65 O 0.8843 0.8658 0.3625 1
O66 O 0.8865 0.8666 0.8606 1
O67 O 0.8890 0.3674 0.8610 1
O68 O 0.8931 0.3761 0.3669 1
O69 O 0.9136 0.4101 0.5830 1
O70 O 0.9182 0.4141 0.0902 1
O71 O 0.9187 0.9152 0.0909 1
O72 O 0.9212 0.9162 0.5921 1
O73 O 0.9383 0.1797 0.1324 1
O74 O 0.9391 0.6794 0.1328 1
O75 O 0.9406 0.6756 0.6304 1
O76 O 0.9424 0.1800 0.6371 1
O77 O 0.9482 0.1771 0.4718 1
O78 O 0.9640 0.6815 0.4723 1
O79 O 0.9647 0.1827 0.9706 1
O80 O 0.9647 0.6827 0.9714 1
# - mass density (kg/m3) = 6058
# - ΔH_f (0 K) (eV per formula unit) = -98.6
# - volume (Å³ per cell) = 2070.7

# PBE+U La7SmMn4Fe4O20, relaxed
data_La7SmMn4Fe4O20
_chemical_formula_sum 'La28 Sm4 Mn16 Fe16 O80'
_cell_length_a 11.0609
_cell_length_b 11.8937
_cell_length_c 17.8930
_cell_angle_alpha 70.61
_cell_angle_beta 72.00
_cell_angle_gamma 89.97
_symmetry_space_group_name_H-M 'P 1'
_symmetry_Int_Tables_number 1
loop_
_symmetry_equiv_pos_as_xyz
'x,y,z'
loop_
_atom_site_label
_atom_site_type_symbol
_atom_site_fract_x
_atom_site_fract_y
_atom_site_fract_z
_atom_site_occupancy
La1 La 0.0000 0.0000 0.0000 1
La2 La 0.0003 0.0000 0.4989 1
La3 La 0.0000 0.4998 0.9999 1
La4 La 0.1096 0.1323 0.7802 1
La5 La 0.1100 0.6313 0.2813 1
La6 La 0.1097 0.6325 0.7801 1
La7 La 0.2495 0.2715 0.0015 1
La8 La 0.2493 0.2735 0.4998 1
La9 La 0.2500 0.7731 0.9999 1
La10 La 0.2527 0.7720 0.5004 1
La11 La 0.3579 0.3580 0.2810 1
La12 La 0.3593 0.3596 0.7803 1
La13 La 0.3596 0.8604 0.2808 1
La14 La 0.3606 0.8603 0.7791 1
La15 La 0.5002 0.4999 0.9995 1
La16 La 0.4997 0.9995 0.0001 1
La17 La 0.5027 0.5006 0.5005 1
La18 La 0.6094 0.1327 0.7802 1
La19 La 0.6093 0.6315 0.2806 1
La20 La 0.6104 0.6324 0.7790 1
La21 La 0.6112 0.1309 0.2825 1
La22 La 0.7500 0.2718 0.0001 1
La23 La 0.7509 0.2723 0.5002 1
La24 La 0.7506 0.7724 0.9995 1
La25 La 0.8601 0.8601 0.2815 1
La26 La 0.8597 0.8596 0.7793 1
La27 La 0.8606 0.3605 0.7788 1
La28 La 0.8623 0.3582 0.2810 1
Sm1 Sm 0.0023 0.4996 0.4983 1
Sm2 Sm 0.1113 0.1329 0.2826 1
Sm3 Sm 0.5037 0.9979 0.4986 1
Sm4 Sm 0.7509 0.7739 0.4990 1
Mn1 Mn 0.1922 0.4706 0.6392 1
Mn2 Mn 0.1922 0.9702 0.1423 1
Mn3 Mn 0.1933 0.4684 0.1406 1
Mn4 Mn 0.1967 0.9699 0.6383 1
Mn5 Mn 0.4419 0.1622 0.1412 1
Mn6 Mn 0.4430 0.6620 0.1408 1
Mn7 Mn 0.4444 0.1614 0.6385 1
Mn8 Mn 0.4464 0.6644 0.6388 1
Mn9 Mn 0.6922 0.9687 0.6387 1
Mn10 Mn 0.6929 0.4680 0.1412 1
Mn11 Mn 0.6935 0.9698 0.1407 1
Mn12 Mn 0.6975 0.4720 0.6378 1
Mn13 Mn 0.9431 0.6621 0.1412 1
Mn14 Mn 0.9428 0.6628 0.6373 1
Mn15 Mn 0.9437 0.1634 0.6393 1
Mn16 Mn 0.9452 0.1621 0.1418 1
Fe1 Fe 0.0461 0.8154 0.3914 1
Fe2 Fe 0.0473 0.3164 0.3907 1
Fe3 Fe 0.0475 0.3163 0.8903 1
Fe4 Fe 0.0479 0.8163 0.8899 1
Fe5 Fe 0.2972 0.0653 0.3909 1
Fe6 Fe 0.2974 0.0663 0.8903 1
Fe7 Fe 0.2969 0.5656 0.3910 1
Fe8 Fe 0.2977 0.5664 0.8900 1
Fe9 Fe 0.5467 0.3142 0.3918 1
Fe10 Fe 0.5474 0.8153 0.3910 1
Fe11 Fe 0.5474 0.8157 0.8900 1
Fe12 Fe 0.5476 0.3161 0.8898 1
Fe13 Fe 0.7974 0.0661 0.8899 1
Fe14 Fe 0.7972 0.5665 0.3914 1
Fe15 Fe 0.7976 0.0642 0.3916 1
Fe16 Fe 0.7975 0.5659 0.8897 1
O1 O 0.0969 0.8371 0.2520 1
O2 O 0.0979 0.3373 0.2515 1
O3 O 0.0979 0.3400 0.7506 1
O4 O 0.1003 0.8405 0.7501 1
O5 O 0.1353 0.6402 0.6400 1
O6 O 0.1369 0.1394 0.1461 1
O7 O 0.1369 0.1386 0.6399 1
O8 O 0.1366 0.6384 0.1404 1
O9 O 0.1621 0.6801 0.4144 1
O10 O 0.1656 0.1844 0.9117 1
O11 O 0.1655 0.6844 0.9115 1
O12 O 0.1673 0.1843 0.4096 1
O13 O 0.1862 0.4481 0.3695 1
O14 O 0.1862 0.9508 0.3661 1
O15 O 0.1868 0.4497 0.8683 1
O16 O 0.1869 0.9495 0.8689 1
O17 O 0.1994 0.4505 0.5296 1
O18 O 0.2050 0.9490 0.5290 1
O19 O 0.2082 0.9514 0.0306 1
O20 O 0.2088 0.4499 0.0292 1
O21 O 0.3388 0.1811 0.2511 1
O22 O 0.3481 0.6823 0.2516 1
O23 O 0.3486 0.1812 0.7499 1
O24 O 0.3508 0.6821 0.7505 1
O25 O 0.3864 0.4922 0.1406 1
O26 O 0.3855 0.4946 0.6401 1
O27 O 0.3868 0.9922 0.1404 1
O28 O 0.3925 0.9921 0.6347 1
O29 O 0.4154 0.1774 0.9110 1
O30 O 0.4151 0.6772 0.9115 1
O31 O 0.4161 0.1727 0.4157 1
O32 O 0.4161 0.6773 0.4116 1
O33 O 0.4363 0.4548 0.3689 1
O34 O 0.4369 0.4547 0.8686 1
O35 O 0.4368 0.9546 0.8685 1
O36 O 0.4370 0.9556 0.3703 1
O37 O 0.4561 0.7949 0.5293 1
O38 O 0.4567 0.2952 0.5299 1
O39 O 0.4580 0.2921 0.0296 1
O40 O 0.4587 0.7920 0.0296 1
O41 O 0.5955 0.3373 0.2518 1
O42 O 0.5979 0.8394 0.2518 1
O43 O 0.5980 0.8389 0.7506 1
O44 O 0.6003 0.3418 0.7495 1
O45 O 0.6352 0.1390 0.1411 1
O46 O 0.6367 0.1386 0.6403 1
O47 O 0.6366 0.6386 0.1406 1
O48 O 0.6425 0.6440 0.6347 1
O49 O 0.6627 0.1779 0.4152 1
O50 O 0.6649 0.1830 0.9117 1
O51 O 0.6656 0.6831 0.9107 1
O52 O 0.6665 0.6839 0.4160 1
O53 O 0.6861 0.9446 0.3724 1
O54 O 0.6872 0.4486 0.8679 1
O55 O 0.6872 0.9479 0.8684 1
O56 O 0.6877 0.4469 0.3685 1
O57 O 0.7011 0.9473 0.5291 1
O58 O 0.7068 0.4478 0.5296 1
O59 O 0.7089 0.4500 0.0296 1
O60 O 0.7089 0.9501 0.0297 1
O61 O 0.8454 0.1809 0.2522 1
O62 O 0.8469 0.6816 0.2523 1
O63 O 0.8484 0.1819 0.7509 1
O64 O 0.8482 0.6812 0.7494 1
O65 O 0.8852 0.9938 0.6393 1
O66 O 0.8866 0.4920 0.1409 1
O67 O 0.8872 0.9931 0.1408 1
O68 O 0.8928 0.4922 0.6349 1
O69 O 0.9124 0.6744 0.4183 1
O70 O 0.9154 0.1773 0.9115 1
O71 O 0.9158 0.6771 0.9109 1
O72 O 0.9180 0.1780 0.4095 1
O73 O 0.9365 0.4545 0.8689 1
O74 O 0.9366 0.9543 0.8686 1
O75 O 0.9376 0.4569 0.3707 1
O76 O 0.9398 0.9585 0.3660 1
O77 O 0.9476 0.7953 0.5294 1
O78 O 0.9591 0.2949 0.5287 1
O79 O 0.9588 0.7922 0.0297 1
O80 O 0.9606 0.2916 0.0302 1
# - mass density (kg/m3) = 5970
# - ΔH_f (0 K) (eV per formula unit) = -101.9
# - volume (Å³ per cell) = 2098.0

# PBE+U La7SmMn6Fe2O20, relaxed
data_La7SmMn6Fe2O20
_chemical_formula_sum 'La28 Sm4 Mn24 Fe8 O80'
_cell_length_a 11.3186
_cell_length_b 11.8724
_cell_length_c 17.8378
_cell_angle_alpha 70.57
_cell_angle_beta 71.59
_cell_angle_gamma 89.98
_symmetry_space_group_name_H-M 'P 1'
_symmetry_Int_Tables_number 1
loop_
_symmetry_equiv_pos_as_xyz
'x,y,z'
loop_
_atom_site_label
_atom_site_type_symbol
_atom_site_fract_x
_atom_site_fract_y
_atom_site_fract_z
_atom_site_occupancy
La1 La 0.0000 0.0000 0.0000 1
La2 La 0.0013 0.0008 0.4973 1
La3 La 0.0052 0.4989 0.0004 1
La4 La 0.1108 0.1291 0.7774 1
La5 La 0.1125 0.6296 0.2783 1
La6 La 0.1156 0.6296 0.7779 1
La7 La 0.2485 0.7693 0.0006 1
La8 La 0.2497 0.2683 0.4979 1
La9 La 0.2497 0.2695 0.0011 1
La10 La 0.2543 0.7702 0.4992 1
La11 La 0.3595 0.3586 0.7777 1
La12 La 0.3618 0.8597 0.7767 1
La13 La 0.3657 0.8592 0.2781 1
La14 La 0.4945 0.4989 0.0014 1
La15 La 0.4988 0.9983 0.0004 1
La16 La 0.4999 0.4986 0.4982 1
La17 La 0.6056 0.6287 0.7787 1
La18 La 0.6092 0.1301 0.2793 1
La19 La 0.6103 0.1293 0.7779 1
La20 La 0.7446 0.7705 0.4990 1
La21 La 0.7489 0.2679 0.0019 1
La22 La 0.7491 0.2686 0.4991 1
La23 La 0.7502 0.7651 0.0015 1
La24 La 0.8562 0.8585 0.2783 1
La25 La 0.8610 0.3621 0.7783 1
La26 La 0.8617 0.8615 0.7763 1
La27 La 0.8628 0.3594 0.2784 1
La28 La 0.9981 0.5001 0.4988 1
Sm1 Sm 0.1148 0.1312 0.2794 1
Sm2 Sm 0.3612 0.3582 0.2788 1
Sm3 Sm 0.5024 0.9992 0.4970 1
Sm4 Sm 0.6112 0.6296 0.2801 1
Mn1 Mn 0.0471 0.8161 0.3876 1
Mn2 Mn 0.0475 0.3149 0.8895 1
Mn3 Mn 0.0480 0.8138 0.8886 1
Mn4 Mn 0.1896 0.9661 0.1415 1
Mn5 Mn 0.1914 0.4634 0.1439 1
Mn6 Mn 0.1907 0.4663 0.6373 1
Mn7 Mn 0.1946 0.9656 0.6367 1
Mn8 Mn 0.2976 0.0642 0.8890 1
Mn9 Mn 0.4385 0.1634 0.1405 1
Mn10 Mn 0.4419 0.1624 0.6365 1
Mn11 Mn 0.4432 0.6610 0.1413 1
Mn12 Mn 0.4431 0.6636 0.6357 1
Mn13 Mn 0.5466 0.3146 0.8894 1
Mn14 Mn 0.5471 0.8133 0.8892 1
Mn15 Mn 0.6889 0.4648 0.1407 1
Mn16 Mn 0.6901 0.9661 0.6376 1
Mn17 Mn 0.6913 0.4656 0.6385 1
Mn18 Mn 0.6907 0.9647 0.1392 1
Mn19 Mn 0.7972 0.0641 0.8891 1
Mn20 Mn 0.7966 0.5645 0.8892 1
Mn21 Mn 0.9382 0.6617 0.1403 1
Mn22 Mn 0.9411 0.1635 0.6382 1
Mn23 Mn 0.9410 0.6653 0.6383 1
Mn24 Mn 0.9425 0.1629 0.1416 1
Fe1 Fe 0.0462 0.3146 0.3878 1
Fe2 Fe 0.2971 0.0657 0.3873 1
Fe3 Fe 0.2968 0.5633 0.3873 1
Fe4 Fe 0.2966 0.5642 0.8891 1
Fe5 Fe 0.5447 0.3151 0.3875 1
Fe6 Fe 0.5463 0.8144 0.3883 1
Fe7 Fe 0.7946 0.5644 0.3882 1
Fe8 Fe 0.7964 0.0662 0.3875 1
O1 O 0.0830 0.8329 0.2484 1
O2 O 0.0857 0.3309 0.2502 1
O3 O 0.0908 0.3361 0.7484 1
O4 O 0.0909 0.8353 0.7472 1
O5 O 0.1268 0.6331 0.1396 1
O6 O 0.1290 0.1335 0.6381 1
O7 O 0.1292 0.1349 0.1447 1
O8 O 0.1294 0.6357 0.6380 1
O9 O 0.1651 0.1820 0.4089 1
O10 O 0.1654 0.6804 0.4120 1
O11 O 0.1660 0.1838 0.9121 1
O12 O 0.1681 0.6820 0.9081 1
O13 O 0.1866 0.4468 0.8705 1
O14 O 0.1894 0.9453 0.8650 1
O15 O 0.1912 0.4437 0.3618 1
O16 O 0.1908 0.9504 0.3615 1
O17 O 0.1970 0.9451 0.0308 1
O18 O 0.1975 0.9449 0.5278 1
O19 O 0.2005 0.4449 0.0331 1
O20 O 0.2017 0.4456 0.5268 1
O21 O 0.3338 0.1864 0.2489 1
O22 O 0.3373 0.6861 0.2484 1
O23 O 0.3385 0.1831 0.7467 1
O24 O 0.3415 0.6845 0.7454 1
O25 O 0.3785 0.4896 0.1451 1
O26 O 0.3778 0.4944 0.6384 1
O27 O 0.3786 0.9938 0.1391 1
O28 O 0.3848 0.9942 0.6324 1
O29 O 0.4132 0.1710 0.4145 1
O30 O 0.4126 0.6746 0.9090 1
O31 O 0.4144 0.1716 0.9136 1
O32 O 0.4167 0.6736 0.4089 1
O33 O 0.4321 0.4534 0.8688 1
O34 O 0.4375 0.9552 0.3682 1
O35 O 0.4384 0.9557 0.8656 1
O36 O 0.4396 0.4580 0.3593 1
O37 O 0.4442 0.7892 0.0309 1
O38 O 0.4462 0.2934 0.0302 1
O39 O 0.4507 0.2949 0.5270 1
O40 O 0.4526 0.7960 0.5267 1
O41 O 0.5788 0.3340 0.2484 1
O42 O 0.5843 0.3368 0.7483 1
O43 O 0.5874 0.8360 0.7477 1
O44 O 0.5920 0.8334 0.2496 1
O45 O 0.6260 0.1328 0.1398 1
O46 O 0.6281 0.6344 0.6382 1
O47 O 0.6286 0.1352 0.6389 1
O48 O 0.6299 0.6347 0.1442 1
O49 O 0.6594 0.6784 0.9174 1
O50 O 0.6599 0.1783 0.4136 1
O51 O 0.6624 0.6805 0.4106 1
O52 O 0.6638 0.1822 0.9150 1
O53 O 0.6848 0.4487 0.3636 1
O54 O 0.6853 0.9443 0.3679 1
O55 O 0.6868 0.4494 0.8624 1
O56 O 0.6896 0.9467 0.8627 1
O57 O 0.6913 0.9475 0.5283 1
O58 O 0.6921 0.4431 0.0311 1
O59 O 0.6964 0.9423 0.0299 1
O60 O 0.7001 0.4451 0.5283 1
O61 O 0.8300 0.6825 0.2484 1
O62 O 0.8323 0.1856 0.2486 1
O63 O 0.8346 0.6857 0.7481 1
O64 O 0.8377 0.1858 0.7476 1
O65 O 0.8779 0.4932 0.1388 1
O66 O 0.8778 0.9952 0.6374 1
O67 O 0.8784 0.9956 0.1388 1
O68 O 0.8790 0.4950 0.6384 1
O69 O 0.9091 0.6743 0.4131 1
O70 O 0.9132 0.1766 0.4123 1
O71 O 0.9131 0.6713 0.9154 1
O72 O 0.9141 0.1719 0.9144 1
O73 O 0.9366 0.4569 0.3660 1
O74 O 0.9390 0.4571 0.8634 1
O75 O 0.9397 0.9570 0.8634 1
O76 O 0.9405 0.9661 0.3603 1
O77 O 0.9446 0.7952 0.5282 1
O78 O 0.9497 0.2932 0.0307 1
O79 O 0.9507 0.7932 0.0292 1
O80 O 0.9516 0.2939 0.5276 1
# - mass density (kg/m3) = 5875
# - ΔH_f (0 K) (eV per formula unit) = -103.6
# - volume (Å³ per cell) = 2130.0